{
  "formula": "Rb2LiCoF6",
  "functional": "PBE+U",
  "state": "relaxed",
  "lattice_angstrom": [[-3.8456, -1.2674, 4.1879], [-4.1054, -4.0251, -0.9366], [0.2700, -5.1298, 2.7469]],
  "species": ["Li", "F", "F", "F", "F", "F", "F", "Rb", "Rb", "Co"],
  "frac_coords": [[0.5000, 0.5000, 0.5000], [0.2300, 0.2300, 0.7700], [0.7700, 0.7700, 0.2300], [0.2300, 0.7700, 0.2300], [0.7700, 0.2300, 0.2300], [0.2300, 0.7700, 0.7700], [0.7700, 0.2300, 0.7700], [0.7500, 0.7500, 0.7500], [0.2500, 0.2500, 0.2500], [0.0000, 0.0000, 0.0000]],
  "sg": "Fm-3m",
  "e_form_kj_per_mol_atoms": -262.49
}

{
  "formula": "MgCoF6",
  "functional": "PBE+U",
  "state": "relaxed",
  "lattice_angstrom": [[4.7099, -2.6221, 0.0000], [4.7099, 2.6221, 0.0000], [3.2502, 0.0000, 4.3006]],
  "species": ["F", "F", "F", "F", "F", "F", "Mg", "Co"],
  "frac_coords": [[0.3266, 0.1538, 0.7609], [0.8462, 0.2391, 0.6734], [0.1538, 0.7609, 0.3266], [0.7609, 0.3266, 0.1538], [0.6734, 0.8462, 0.2391], [0.2391, 0.6734, 0.8462], [0.5000, 0.5000, 0.5000], [0.0000, 0.0000, 0.0000]],
  "sg": "R-3",
  "e_form_kj_per_mol_atoms": -247.59
}

{
  "formula": "MgCoF5",
  "functional": "PBE+U",
  "state": "relaxed",
  "lattice_angstrom": [[9.5994, 0.0000, 0.0000], [0.0000, 5.1851, 0.0000], [0.0000, 2.5107, 6.9130]],
  "species": ["F", "F", "F", "F", "F", "F", "F", "F", "F", "F", "F", "F", "F", "F", "F", "F", "F", "F", "F", "F", "Mg", "Mg", "Mg", "Mg", "Co", "Co", "Co", "Co"],
  "frac_coords": [[0.3918, 0.6439, 0.5109], [0.6120, 0.3932, 0.0751], [0.1082, 0.6439, 0.0109], [0.8652, 0.7940, 0.1531], [0.8918, 0.3561, 0.9891], [0.3976, 0.1465, 0.8036], [0.8976, 0.8535, 0.6964], [0.3205, 0.8251, 0.1672], [0.1120, 0.6068, 0.4249], [0.3880, 0.6068, 0.9249], [0.1024, 0.1465, 0.3036], [0.8205, 0.1749, 0.3328], [0.1795, 0.8251, 0.6672], [0.1348, 0.2060, 0.8469], [0.6024, 0.8535, 0.1964], [0.6795, 0.1749, 0.8328], [0.8880, 0.3932, 0.5751], [0.3652, 0.2060, 0.3469], [0.6082, 0.3561, 0.4891], [0.6348, 0.7940, 0.6531], [0.5125, 0.4771, 0.7529], [0.4875, 0.5229, 0.2471], [0.0125, 0.5229, 0.7471], [0.9875, 0.4771, 0.2529], [0.7534, 0.1012, 0.6017], [0.2466, 0.8988, 0.3983], [0.7466, 0.1012, 0.1017], [0.2534, 0.8988, 0.8983]],
  "sg": "P2_1/c",
  "e_form_kj_per_mol_atoms": -263.98
}

{
  "formula": "MgCoF5",
  "functional": "PBE+U",
  "state": "relaxed",
  "lattice_angstrom": [[-2.7698, -4.2495, 1.3558], [1.9307, -4.0954, -2.6586], [3.9379, -4.3671, 4.4433]],
  "species": ["F", "F", "F", "F", "F", "F", "F", "F", "F", "F", "Mg", "Mg", "Co", "Co"],
  "frac_coords": [[0.8706, 0.1294, 0.7500], [0.1294, 0.8706, 0.2500], [0.2946, 0.6814, 0.9511], [0.3186, 0.7054, 0.5489], [0.2169, 0.2639, 0.3743], [0.7361, 0.7831, 0.1257], [0.6814, 0.2946, 0.4511], [0.7831, 0.7361, 0.6257], [0.2639, 0.2169, 0.8743], [0.7054, 0.3186, 0.0489], [0.4707, 0.5293, 0.2500], [0.5293, 0.4707, 0.7500], [0.0000, 0.0000, 0.5000], [0.0000, 0.0000, 0.0000]],
  "sg": "C2/c",
  "e_form_kj_per_mol_atoms": -274.91
}

{
  "formula": "MgCoF4",
  "functional": "PBE+U",
  "state": "relaxed",
  "lattice_angstrom": [[4.2172, -4.1740, 1.6378], [5.2958, 2.8421, 1.3290], [-5.7724, 0.9640, 1.9078]],
  "species": ["Co", "Co", "F", "F", "F", "F", "F", "F", "F", "F", "Mg", "Mg"],
  "frac_coords": [[0.2514, 0.2514, 0.0000], [0.7486, 0.7486, 0.0000], [0.1455, 0.1366, 0.5172], [0.6194, 0.6283, 0.4828], [0.3615, 0.3822, 0.4851], [0.8971, 0.8763, 0.5149], [0.3806, 0.8634, 0.0090], [0.6385, 0.1237, 0.0207], [0.8545, 0.3717, 0.9910], [0.1029, 0.6178, 0.9793], [0.5000, 0.0000, 0.5000], [0.0000, 0.5000, 0.5000]],
  "sg": "I222",
  "e_form_kj_per_mol_atoms": -286.66
}

{
  "formula": "MgCo4O6F2",
  "functional": "PBE+U",
  "state": "relaxed",
  "lattice_angstrom": [[5.0786, -0.7590, 0.1399], [-0.7634, 5.0833, -0.1422], [0.1601, -0.1624, 5.8384]],
  "species": ["O", "O", "O", "O", "O", "O", "Mg", "F", "F", "Co", "Co", "Co", "Co"],
  "frac_coords": [[0.8822, 0.1198, 0.2768], [0.6791, 0.7071, 0.9894], [0.1755, 0.8239, 0.7436], [0.6991, 0.6834, 0.4958], [0.3194, 0.3013, 0.4961], [0.2936, 0.3213, 0.9891], [0.7079, 0.2978, 0.5128], [0.8311, 0.1692, 0.7625], [0.2160, 0.7831, 0.2438], [0.3976, 0.6031, 0.7564], [0.4638, 0.5366, 0.2345], [0.0339, 0.9675, 0.4960], [0.0091, 0.9915, 0.0032]],
  "sg": "P1",
  "e_form_kj_per_mol_atoms": -148.94
}

{
  "formula": "MgCo4O6F2",
  "functional": "PBE+U",
  "state": "relaxed",
  "lattice_angstrom": [[5.2260, -0.7310, 0.1558], [-0.7402, 5.0609, -0.0908], [0.1823, -0.0979, 5.6549]],
  "species": ["Co", "Co", "Co", "Co", "Mg", "O", "O", "O", "O", "O", "O", "F", "F"],
  "frac_coords": [[0.0176, 0.9878, 0.5094], [0.4235, 0.6013, 0.7721], [0.5055, 0.4996, 0.2505], [0.0126, 0.9944, 0.0117], [0.9726, 0.4721, 0.5052], [0.8811, 0.1453, 0.2814], [0.1700, 0.8030, 0.7450], [0.3153, 0.3095, 0.0064], [0.6875, 0.7107, 0.0075], [0.7036, 0.6770, 0.5068], [0.3001, 0.3252, 0.5096], [0.1622, 0.7585, 0.2578], [0.8485, 0.2015, 0.7616]],
  "sg": "P1",
  "e_form_kj_per_mol_atoms": -151.79
}

{
  "formula": "MgCo6O7F5",
  "functional": "PBE+U",
  "state": "relaxed",
  "lattice_angstrom": [[5.0523, -0.4135, 0.0129], [-0.4122, 5.0556, 0.0492], [0.0440, 0.0699, 8.6308]],
  "species": ["F", "F", "F", "F", "F", "O", "O", "O", "O", "O", "O", "O", "Co", "Co", "Co", "Co", "Co", "Co", "Mg"],
  "frac_coords": [[0.1558, 0.8066, 0.1631], [0.8530, 0.1873, 0.8218], [0.6872, 0.7383, 0.3262], [0.8521, 0.2076, 0.5000], [0.1278, 0.7855, 0.8370], [0.1634, 0.7868, 0.5024], [0.3626, 0.2398, 0.9826], [0.8424, 0.2254, 0.1545], [0.3497, 0.3220, 0.3295], [0.6247, 0.7346, 0.6718], [0.6365, 0.7141, 0.9891], [0.3408, 0.2623, 0.6729], [0.4872, 0.4877, 0.8287], [0.0053, 0.9705, 0.6405], [0.5625, 0.4545, 0.1569], [0.0298, 0.0302, 0.3302], [0.4284, 0.5479, 0.5008], [0.9862, 0.0255, 0.0201], [0.4908, 0.9874, 0.8291]],
  "sg": "P1",
  "e_form_kj_per_mol_atoms": -158.33
}